Computed, not measured: PrB2C2 after structural relaxation at the GGA-PBE level of DFT. Values from VASP.

Values from the calculation:
total moment	0.0	μB per formula unit
uncorrected energy	-7.58	eV per atom

The structure in Quantum ESPRESSO input format:
```
&SYSTEM
  ibrav = 0, nat = 10, ntyp = 3
/
ATOMIC_SPECIES
B 10.81 B.upf
Pr 140.91 Pr.upf
C 12.01 C.upf
CELL_PARAMETERS angstrom
3.831 0.000 0.000
0.000 3.831 0.000
0.000 0.000 7.815
ATOMIC_POSITIONS angstrom
B 0.829 1.916 0.000
B 3.002 1.916 0.000
B 1.916 0.829 3.907
B 1.916 3.002 3.907
Pr 0.000 0.000 5.861
Pr 0.000 0.000 1.954
C 3.115 1.916 3.907
C 1.916 3.115 0.000
C 0.716 1.916 3.907
C 1.916 0.716 0.000
```